# Zr5GeSb3

A geometry-optimized Zr5GeSb3 structure (meta-GGA r2SCAN, the Materials Project database).

Lattice parameters (Å, degrees): 8.661 8.661 5.877 90.00 90.00 120.00
Element x y z (fractional)
Zr: 0.667 0.333 0.000
Zr: 0.333 0.667 0.000
Zr: 0.333 0.667 0.500
Zr: 0.667 0.333 0.500
Zr: 0.736 0.736 0.750
Zr: 0.264 0.000 0.750
Zr: 0.000 0.264 0.750
Zr: 0.264 0.264 0.250
Zr: 0.736 0.000 0.250
Zr: 0.000 0.736 0.250
Ge: 0.000 0.000 0.000
Ge: 0.000 0.000 0.500
Sb: 0.394 0.394 0.750
Sb: 0.606 0.000 0.750
Sb: 0.000 0.606 0.750
Sb: 0.606 0.606 0.250
Sb: 0.394 0.000 0.250
Sb: 0.000 0.394 0.250

Output
**Symmetry**: P6_3/mcm (193)
**Formation enthalpy at 0 K**: -773 kJ/mol of formula units
**Spin magnetization**: 0.000 μB/atom


# Ce2U3O10

A geometry-optimized Ce2U3O10 structure (meta-GGA r2SCAN, the Materials Project database).

Lattice parameters (Å, degrees): 6.659 6.659 8.582 49.99 49.99 48.36
Element x y z (fractional)
Ce: 0.301 0.301 0.100
Ce: 0.699 0.699 0.900
U: 0.101 0.101 0.699
U: 0.500 0.500 0.500
U: 0.899 0.899 0.301
O: 0.658 0.160 0.784
O: 0.160 0.658 0.784
O: 0.459 0.949 0.402
O: 0.949 0.459 0.402
O: 0.840 0.342 0.216
O: 0.239 0.761 0.000
O: 0.342 0.840 0.216
O: 0.761 0.239 0.000
O: 0.051 0.541 0.598
O: 0.541 0.051 0.598

Output
**Symmetry**: C2/m (12)
**Formation enthalpy at 0 K**: -5492 kJ/mol of formula units
**Spin magnetization**: 0.400 μB/atom


What is the formula in the first record?
Zr5GeSb3